## NaNbCu2S4 (PBE)

Data for an optimized crystal structure of NaNbCu2S4.

Values from the calculation:
- Distance to the lowest polymorph of the same formula: 0.00 kJ/mol of atoms
- Largest piezoelectric modulus: 11.85 C/m2
- ρ: 3.1 g/cm³
- DFT formation energy: -0.9999 eV per atom
- MP2020-corrected energy: -0.203 Ha/atom

Cell lengths 9.670, 9.670, 7.673 Å; angles 90.00, 90.00, 146.37 degrees
Fractional positions:
Na1 0.663 0.003 0.250
Na2 0.003 0.663 0.750
Nb1 0.887 0.667 0.250
Nb2 0.667 0.887 0.750
Cu1 0.761 0.761 0.000
Cu2 0.761 0.761 0.500
Cu3 0.379 0.171 0.250
Cu4 0.171 0.379 0.750
S1 0.239 0.827 0.250
S2 0.827 0.239 0.750
S3 0.633 0.425 0.007
S4 0.425 0.633 0.993
S5 0.005 0.013 0.750
S6 0.013 0.005 0.250
S7 0.425 0.633 0.507
S8 0.633 0.425 0.493


## Ba4TiCu3O9 (PBE)

Data for an optimized crystal structure of Ba4TiCu3O9.

Values from the calculation:
- ρ: 6.1 g/cm³
- DFT formation energy: -2.3995 eV per atom
- MP2020-corrected energy: -0.245 Ha/atom

Cell lengths 7.974, 7.974, 7.974 Å; angles 90.00, 90.00, 90.00 degrees
Fractional positions:
Ba1 0.250 0.250 0.250
Ba2 0.750 0.750 0.250
Ba3 0.750 0.250 0.750
Ba4 0.250 0.750 0.750
Ba5 0.250 0.750 0.250
Ba6 0.750 0.250 0.250
Ba7 0.250 0.250 0.750
Ba8 0.750 0.750 0.750
Ti1 0.500 0.500 0.500
Ti2 0.000 0.000 0.000
Cu1 0.500 0.000 0.500
Cu2 0.500 0.000 0.000
Cu3 0.000 0.500 0.000
Cu4 0.000 0.000 0.500
Cu5 0.500 0.500 0.000
Cu6 0.000 0.500 0.500
O1 0.000 0.500 0.250
O2 0.500 0.500 0.246
O3 0.246 0.500 0.500
O4 0.500 0.750 0.000
O5 0.250 0.000 0.500
O6 0.750 0.000 0.500
O7 0.500 0.250 0.000
O8 0.000 0.000 0.254
O9 0.000 0.000 0.746
O10 0.000 0.254 0.000
O11 0.500 0.754 0.500
O12 0.254 0.000 0.000
O13 0.746 0.000 0.000
O14 0.500 0.246 0.500
O15 0.000 0.500 0.750
O16 0.500 0.500 0.754
O17 0.754 0.500 0.500
O18 0.000 0.746 0.000